1.
{
  "formula": "FeN",
  "functional": "PBE",
  "state": "optimized geometry",
  "space_group": "Pm-3m",
  "formation_enthalpy_0k_kj_per_mol_atoms": 53.2,
  "density_g_cm3": 6.88,
  "lattice_angstrom": [[2.565, 0.000, 0.000], [0.000, 2.565, 0.000], [0.000, 0.000, 2.565]],
  "species": ["Fe", "N"],
  "frac_coords": [[0.000, 0.000, 0.000], [0.500, 0.500, 0.500]]
}



2.
{
  "formula": "Fe4N",
  "functional": "PBE",
  "state": "optimized geometry",
  "space_group": "Pm-3m",
  "formation_enthalpy_0k_kj_per_mol_atoms": -5.5,
  "density_g_cm3": 7.95,
  "lattice_angstrom": [[3.674, 0.000, 0.000], [0.000, 3.674, 0.000], [0.000, 0.000, 3.674]],
  "species": ["Fe", "Fe", "Fe", "Fe", "N"],
  "frac_coords": [[0.000, 0.000, 0.000], [0.000, 0.500, 0.500], [0.500, 0.000, 0.500], [0.500, 0.500, 0.000], [0.500, 0.500, 0.500]]
}



3.
{
  "formula": "Fe2N",
  "functional": "PBE",
  "state": "optimized geometry",
  "space_group": "P2_12_12",
  "formation_enthalpy_0k_kj_per_mol_atoms": -14.8,
  "density_g_cm3": 7.43,
  "lattice_angstrom": [[4.332, 0.000, 0.000], [0.000, 4.739, 0.000], [0.000, 0.000, 8.212]],
  "species": ["Fe", "Fe", "Fe", "Fe", "Fe", "Fe", "Fe", "Fe", "Fe", "Fe", "Fe", "Fe", "N", "N", "N", "N", "N", "N"],
  "frac_coords": [[0.248, 0.165, 0.252], [0.248, 0.667, 0.083], [0.249, 0.669, 0.417], [0.251, 0.169, 0.583], [0.252, 0.167, 0.917], [0.252, 0.665, 0.748], [0.748, 0.335, 0.748], [0.748, 0.833, 0.917], [0.749, 0.831, 0.583], [0.751, 0.331, 0.417], [0.752, 0.333, 0.083], [0.752, 0.835, 0.252], [0.000, 0.000, 0.076], [0.000, 0.500, 0.250], [0.000, 0.500, 0.591], [0.500, 0.000, 0.409], [0.500, 0.000, 0.750], [0.500, 0.500, 0.924]]
}